[1]
Below is a relaxed structure of Ba2Y2Mn4O11, with properties calculated at the PBE with a Hubbard U level.

- Theoretical density: 5.74 g cm⁻³
- Energy of formation from the pure elements: -2746 meV/atom

a b c (Å): 3.8555 8.1935 8.7300
angles (deg): 62.79 89.99 90.08
Element x y z (fractional)
O1 0.9985 0.3435 0.7921
O2 0.5040 0.8971 0.1777
O3 0.5011 0.3820 0.2238
O4 0.4960 0.1029 0.8223
O5 0.0006 0.7540 0.5023
O6 0.0080 0.1337 0.1885
O7 0.9920 0.8663 0.8115
O8 0.9994 0.2460 0.4977
O9 0.4989 0.6180 0.7762
O10 0.0015 0.6565 0.2079
O11 0.0000 0.5000 0.0000
Mn1 0.9961 0.1182 0.7726
Mn2 0.0039 0.8818 0.2274
Mn3 0.0012 0.3706 0.2487
Mn4 0.9988 0.6294 0.7513
Ba1 0.5000 0.0000 0.5000
Ba2 0.5000 0.5000 0.5000
Y1 0.5047 0.7188 0.0088
Y2 0.4953 0.2812 0.9912

=====

[2]
Below is a relaxed structure of BaYMn2O5, with properties calculated at the PBE with a Hubbard U level.

- Theoretical density: 5.62 g cm⁻³
- Energy of formation from the pure elements: -2785 meV/atom
- Polymorph energy (0 for the lowest one): 6 meV/atom

a b c (Å): 5.6162 5.6162 7.8015
angles (deg): 90.00 90.00 90.00
Element x y z (fractional)
O1 0.7500 0.2500 0.9920
O2 0.9906 0.4906 0.6807
O3 0.2500 0.7500 0.0079
O4 0.5094 0.0094 0.6807
O5 0.9906 0.0094 0.6807
O6 0.4906 0.5094 0.3193
O7 0.0094 0.5094 0.3193
O8 0.4906 0.9906 0.3193
O9 0.0094 0.9906 0.3193
O10 0.5094 0.4906 0.6807
Mn1 0.7500 0.2500 0.7230
Mn2 0.7500 0.2500 0.2534
Mn3 0.2500 0.7500 0.2770
Mn4 0.2500 0.7500 0.7466
Y1 0.2500 0.2500 0.5000
Y2 0.7500 0.7500 0.5000
Ba1 0.7500 0.7500 0.0000
Ba2 0.2500 0.2500 0.0000

=====

[3]
Below is a relaxed structure of BaYMn4O7, with properties calculated at the PBE with a Hubbard U level.

- Theoretical density: 4.60 g cm⁻³
- Energy of formation from the pure elements: -2457 meV/atom

a b c (Å): 6.5500 6.5500 10.8428
angles (deg): 90.00 90.00 120.00
Element x y z (fractional)
O1 0.8314 0.1686 0.0038
O2 0.1686 0.3372 0.5038
O3 0.8314 0.6628 0.0038
O4 0.9903 0.4952 0.2685
O5 0.4952 0.9903 0.7685
O6 0.4952 0.5048 0.7685
O7 0.5048 0.0097 0.2685
O8 0.3372 0.1686 0.0038
O9 0.0000 0.0000 0.7509
O10 0.5048 0.4952 0.2685
O11 0.6628 0.8314 0.5038
O12 0.1686 0.8314 0.5038
O13 0.0000 0.0000 0.2509
O14 0.0097 0.5048 0.7685
Mn1 0.8298 0.1702 0.1896
Mn2 0.1702 0.8298 0.6896
Mn3 0.0000 0.0000 0.4423
Mn4 0.6596 0.8298 0.6896
Mn5 0.0000 0.0000 0.9423
Mn6 0.3404 0.1702 0.1896
Mn7 0.1702 0.3404 0.6896
Mn8 0.8298 0.6596 0.1896
Y1 0.3333 0.6667 0.3799
Y2 0.6667 0.3333 0.8799
Ba1 0.6667 0.3333 0.4752
Ba2 0.3333 0.6667 0.9752

=====

[4]
Below is a relaxed structure of Ba2YMn3O8, with properties calculated at the PBE with a Hubbard U level.

- Theoretical density: 5.85 g cm⁻³
- Energy of formation from the pure elements: -2667 meV/atom
- Polymorph energy (0 for the lowest one): 11 meV/atom

a b c (Å): 5.6105 5.6105 12.4801
angles (deg): 77.01 102.99 90.01
Element x y z (fractional)
Mn1 0.6677 0.3323 0.3354
Mn2 0.0008 0.9991 0.0018
Mn3 0.4993 0.5007 0.9985
Mn4 0.3247 0.6753 0.6493
Mn5 0.8324 0.1676 0.6648
Mn6 0.1744 0.8256 0.3489
O1 0.9488 0.0512 0.3795
O2 0.2505 0.7495 0.0012
O3 0.5827 0.4173 0.1654
O4 0.7507 0.7495 0.0012
O5 0.2505 0.2493 0.0012
O6 0.9488 0.5693 0.3796
O7 0.5500 0.4500 0.6181
O8 0.0847 0.9153 0.1695
O9 0.0681 0.4500 0.6180
O10 0.4307 0.5693 0.3796
O11 0.0681 0.9319 0.6181
O12 0.4307 0.0512 0.3796
O13 0.9185 0.0815 0.8371
O14 0.5500 0.9319 0.6180
O15 0.4159 0.5841 0.8318
O16 0.7507 0.2493 0.0012
Y1 0.7502 0.7498 0.5004
Y2 0.2502 0.2498 0.5004
Ba1 0.9163 0.5837 0.8326
Ba2 0.5841 0.9159 0.1681
Ba3 0.0840 0.4159 0.1681
Ba4 0.4163 0.0837 0.8326

=====

Number 1: M_tot 16.0 μB/cell. Number 2: M_tot 2.0 μB/cell. Number 3: M_tot 38.0 μB/cell. Number 4: M_tot 24.0 μB/cell.